First-principles (GGA+U) data for a relaxed Y2W2O7 crystal, as listed in the Materials Project.

Cell lengths 12.664, 7.397, 7.434 Å; angles 90.00, 124.22, 90.00 degrees
Space group C2/m (No. 12)
Unique sites:
Y 0.000 0.000 0.000
Y 0.000 0.000 0.500
Y 0.250 0.250 0.000
W 0.000 0.500 0.000
W 0.000 0.500 0.500
W 0.250 0.250 0.500
O 0.090 0.500 0.848
O 0.120 0.292 0.161
O 0.125 0.000 0.877
O 0.131 0.276 0.605
O 0.161 0.000 0.394

formation energy from the elements = -32.3 eV/f.u.
total magnetic moment = 16.00 μB/cell
raw total energy = -92.13 eV per formula unit
calculated volume = 13.09 Å³/atom


First-principles (GGA+U) data for a relaxed YW3O8 crystal, as listed in the Materials Project.

Cell lengths 5.231, 5.800, 6.273 Å; angles 66.79, 68.85, 86.20 degrees
Space group P-1 (No. 2)
Unique sites:
Y 0.000 0.000 0.000
W 0.237 0.667 0.514
W 0.500 0.500 0.000
O 0.159 0.484 0.302
O 0.207 0.964 0.271
O 0.271 0.736 0.795
O 0.337 0.310 0.684

formation energy from the elements = -27.6 eV/f.u.
total magnetic moment = 5.00 μB/cell
raw total energy = -93.73 eV per formula unit
calculated volume = 13.54 Å³/atom


First-principles (GGA+U) data for a relaxed Y2WO6 crystal, as listed in the Materials Project.

Cell lengths 7.726, 5.413, 11.511 Å; angles 90.00, 104.40, 90.00 degrees
Space group P2/c (No. 13)
Unique sites:
Y 0.000 0.184 0.250
Y 0.295 0.314 0.922
Y 0.500 0.239 0.250
W 0.223 0.246 0.615
O 0.009 0.138 0.886
O 0.136 0.350 0.453
O 0.209 0.481 0.228
O 0.290 0.042 0.772
O 0.348 0.030 0.069
O 0.439 0.457 0.605

formation energy from the elements = -29.6 eV/f.u.
raw total energy = -76.60 eV per formula unit
calculated volume = 12.95 Å³/atom


First-principles (GGA+U) data for a relaxed Y2WO6 crystal, as listed in the Materials Project.

Cell lengths 5.295, 9.176, 10.025 Å; angles 90.00, 90.00, 90.00 degrees
Space group P2_12_12_1 (No. 19)
Unique sites:
Y 0.019 0.103 0.465
Y 0.039 0.219 0.870
W 0.039 0.496 0.348
O 0.087 0.843 0.031
O 0.174 0.952 0.298
O 0.181 0.638 0.819
O 0.192 0.641 0.236
O 0.232 0.115 0.068
O 0.247 0.589 0.494

piezoelectric modulus e_max = 0.6 C/m²
formation energy from the elements = -29.6 eV/f.u.
raw total energy = -76.60 eV per formula unit
calculated volume = 13.53 Å³/atom


> Which formula does entry 2 have?

YW3O8


> Which value of raw total energy does entry 4 give?

-76.60 eV per formula unit


> The lowest formation energy from the elements belongs to which entry?

Y2W2O7